1.
## Li9Cr5O12 (PBE+U)

Data for an optimized crystal structure of Li9Cr5O12.

Geometry as POSCAR:
```
Li9Cr5O12
1.0
2.595 -4.554 0.000
2.595 4.554 0.000
-1.078 0.000 9.997
Li Cr O
9 5 12
Cartesian
0.000 0.000 0.000
1.366 2.075 7.520
0.753 0.000 2.552
0.483 0.000 8.050
2.745 2.075 2.476
1.366 -2.075 7.520
3.629 0.000 1.947
3.358 0.000 7.445
2.745 -2.075 2.476
2.056 3.049 4.998
2.595 1.529 0.000
2.056 0.000 4.998
2.595 -1.529 0.000
2.056 -3.049 4.998
1.671 2.965 1.191
1.193 1.509 3.919
0.309 0.000 6.058
2.440 2.965 8.806
1.909 0.000 1.150
1.193 -1.509 3.919
2.918 1.509 6.078
2.202 0.000 8.847
1.671 -2.965 1.191
3.802 0.000 3.939
2.918 -1.509 6.078
2.440 -2.965 8.806
```

Summary:
Magnetic moment ... 15.0 μB per formula unit
Total energy ... -6.362 eV per atom
Energy relative to the elements ... -58.8 eV/f.u.

---

2.
## MgCoO3 (PBE+U)

Data for an optimized crystal structure of MgCoO3.

Geometry as POSCAR:
```
MgCoO3
1.0
3.698 0.000 0.000
0.000 3.698 0.000
0.000 0.000 3.698
Mg Co O
1 1 3
Cartesian
0.000 0.000 0.000
1.849 1.849 1.849
0.000 1.849 1.849
1.849 0.000 1.849
1.849 1.849 0.000
```

Summary:
Total energy ... -5.323 eV per atom
Energy relative to the elements ... -6.8 eV/f.u.

---

3.
## Na3VO3 (PBE+U)

Data for an optimized crystal structure of Na3VO3.

Geometry as POSCAR:
```
Na3VO3
1.0
5.900 0.000 0.000
0.269 6.015 0.000
0.084 2.856 5.816
Na V O
6 2 6
Cartesian
0.494 2.853 2.613
0.969 4.477 5.724
2.803 6.753 4.347
3.450 2.119 1.469
5.284 4.395 0.093
5.760 6.018 3.204
2.410 5.030 1.804
3.843 3.841 4.013
1.579 3.915 0.556
1.796 6.826 1.988
1.971 4.358 3.664
4.283 4.514 2.152
4.457 2.046 3.828
4.674 4.956 5.260
```

Summary:
Magnetic moment ... 0.0 μB per formula unit
Total energy ... -5.378 eV per atom
Energy relative to the elements ... -13.5 eV/f.u.

---

4.
## Be3Fe4Si3TeO12 (PBE+U)

Data for an optimized crystal structure of Be3Fe4Si3TeO12.

Geometry as POSCAR:
```
Be3Fe4Si3TeO12
1.0
8.445 0.000 0.000
0.000 8.445 0.000
0.000 0.000 8.445
Be Fe Si Te O
6 8 6 2 24
Cartesian
0.000 2.111 4.223
0.000 6.334 4.223
2.111 4.223 0.000
4.223 0.000 2.111
4.223 0.000 6.334
6.334 4.223 0.000
1.567 1.567 1.567
1.567 6.879 6.879
2.656 2.656 5.789
2.656 5.789 2.656
5.789 2.656 2.656
5.789 5.789 5.789
6.879 1.567 6.879
6.879 6.879 1.567
0.000 4.223 2.111
0.000 4.223 6.334
2.111 0.000 4.223
4.223 2.111 0.000
4.223 6.334 0.000
6.334 0.000 4.223
0.000 0.000 0.000
4.223 4.223 4.223
0.654 3.006 5.416
0.654 5.439 3.029
1.193 1.217 3.569
1.193 7.228 4.876
1.217 3.569 1.193
1.217 4.876 7.252
3.006 3.029 7.792
3.006 5.416 0.654
3.029 0.654 5.439
3.029 7.792 3.006
3.569 1.193 1.217
3.569 7.252 7.228
4.876 1.193 7.228
4.876 7.252 1.217
5.416 0.654 3.006
5.416 7.792 5.439
5.439 3.029 0.654
5.439 5.416 7.792
7.228 3.569 7.252
7.228 4.876 1.193
7.252 1.217 4.876
7.252 7.228 3.569
7.792 3.006 3.029
7.792 5.439 5.416
```

Summary:
Magnetic moment ... 16.0 μB per formula unit
Total energy ... -6.960 eV per atom
Energy relative to the elements ... -53.5 eV/f.u.

---

5.
## MgMn3P3O13 (PBE+U)

Data for an optimized crystal structure of MgMn3P3O13.

Geometry as POSCAR:
```
MgMn3P3O13
1.0
7.707 0.000 0.000
0.000 6.181 0.000
-1.838 0.000 10.136
Mg Mn P O
2 6 6 26
Cartesian
0.715 1.545 1.698
5.154 4.636 8.438
-0.306 1.545 8.026
1.301 4.636 4.356
3.853 0.000 0.000
3.853 3.090 0.000
4.568 1.545 5.779
6.175 4.636 2.110
1.164 4.636 1.129
0.410 4.636 7.701
1.282 1.545 5.138
4.587 4.636 4.998
5.459 1.545 2.435
4.705 1.545 9.007
-1.778 1.545 9.930
-0.572 3.458 8.004
-0.572 5.813 8.004
0.488 4.636 2.548
0.061 1.545 6.069
1.176 0.358 4.115
1.176 2.733 4.115
1.010 4.636 6.319
1.985 3.316 1.041
1.985 5.955 1.041
1.284 1.545 9.196
1.532 4.636 8.780
2.574 1.545 5.942
3.295 4.636 4.194
4.338 1.545 1.356
4.585 4.636 0.940
3.884 0.226 9.095
3.884 2.865 9.095
4.859 1.545 3.817
4.693 3.448 6.021
4.693 5.823 6.021
5.808 4.636 4.067
5.381 1.545 7.588
6.441 0.368 2.132
6.441 2.723 2.132
7.648 4.636 0.206
```

Summary:
Magnetic moment ... 12.0 μB per formula unit
Total energy ... -7.282 eV per atom
Energy relative to the elements ... -49.9 eV/f.u.

---

6.
## Li9Mn2Co5O16 (PBE+U)

Data for an optimized crystal structure of Li9Mn2Co5O16.

Geometry as POSCAR:
```
Li9Mn2Co5O16
1.0
5.046 0.000 0.000
0.000 11.680 0.000
-1.669 0.000 4.812
Li Mn Co O
9 2 5 16
Cartesian
0.000 0.000 0.000
-0.835 1.385 2.406
-0.835 4.474 2.406
-0.835 7.364 2.406
-0.835 10.245 2.406
1.689 2.934 2.406
1.689 5.900 2.406
1.689 8.838 2.406
1.689 11.628 2.406
0.000 2.929 0.000
2.523 1.456 0.000
0.000 5.853 0.000
0.000 8.857 0.000
2.523 4.439 0.000
2.523 7.353 0.000
2.523 10.271 0.000
0.740 4.420 1.086
0.789 7.217 1.060
-0.093 5.896 3.722
-0.055 2.873 3.733
0.901 1.620 1.063
0.889 10.167 1.103
0.020 8.732 3.670
0.118 0.114 3.687
3.259 0.114 1.125
3.357 8.732 1.142
2.476 1.620 3.749
2.488 10.167 3.710
3.432 2.873 1.079
3.470 5.896 1.090
2.588 7.217 3.752
2.637 4.420 3.726
```

Summary:
Magnetic moment ... 9.9 μB per formula unit
Total energy ... -5.826 eV per atom
Energy relative to the elements ... -58.7 eV/f.u.